A relaxed LuRu3C crystal, computed with meta-GGA r2SCAN.

Properties
- ΔE_f (eV/atom) = -0.325
- magnetic moment (μB per formula unit) = 0.00

POSCAR file:
```
LuRu3C
1.0
4.102 0.000 0.000
0.000 4.102 0.000
0.000 0.000 4.102
Lu Ru C
1 3 1
Cartesian
0.000 0.000 0.000
0.000 2.051 2.051
2.051 0.000 2.051
2.051 2.051 0.000
2.051 2.051 2.051
```

A relaxed Lu3SnC crystal, computed with meta-GGA r2SCAN.

Properties
- ΔE_f (eV/atom) = -0.818
- magnetic moment (μB per formula unit) = 0.00

POSCAR file:
```
Lu3SnC
1.0
4.728 0.000 0.000
0.000 4.728 0.000
0.000 0.000 4.728
Lu Sn C
3 1 1
Cartesian
0.000 0.000 2.364
0.000 2.364 0.000
2.364 0.000 0.000
2.364 2.364 2.364
0.000 0.000 0.000
```

A relaxed Na4MgC6S6N6 crystal, computed with meta-GGA r2SCAN.

Properties
- ΔE_f (eV/atom) = -0.424
- magnetic moment (μB per formula unit) = 0.00

POSCAR file:
```
Na4MgC6S6N6
1.0
8.589 0.000 0.000
-4.294 7.438 0.000
0.000 0.000 13.784
Na Mg C S N
8 2 12 12 12
Cartesian
0.000 0.000 0.000
0.000 0.000 6.892
0.000 4.959 0.348
0.000 4.959 6.544
0.000 4.959 10.338
4.294 2.479 3.446
4.294 2.479 7.240
4.294 2.479 13.436
0.000 4.959 3.446
4.294 2.479 10.338
-1.436 2.560 11.923
-2.796 4.914 8.753
1.436 2.560 8.753
-1.359 7.402 11.923
2.935 0.036 5.031
1.499 2.524 1.861
2.796 4.914 11.923
1.359 7.402 8.753
5.654 0.036 1.861
2.858 4.878 5.031
7.090 2.524 5.031
5.731 4.878 1.861
-0.142 2.627 8.379
-2.091 6.002 12.297
0.142 2.627 12.297
-1.949 6.248 8.379
2.346 1.190 1.487
2.204 1.436 5.405
2.091 6.002 8.379
1.949 6.248 12.297
6.243 1.190 5.405
4.152 4.811 1.487
6.385 1.436 1.487
4.436 4.811 5.405
-0.897 3.494 4.745
-1.717 4.914 2.147
0.897 3.494 2.147
-0.820 6.468 4.745
3.475 0.970 11.637
2.577 2.524 9.039
1.717 4.914 4.745
0.820 6.468 2.147
5.114 0.970 9.039
3.397 3.944 11.637
6.011 2.524 11.637
5.192 3.944 9.039
```

A relaxed Na6Mg2C4SO16 crystal, computed with meta-GGA r2SCAN.

Properties
- ΔE_f (eV/atom) = -2.027
- offset from the most stable computed form (meV/atom) = 0.0
- magnetic moment (μB per formula unit) = 0.00

POSCAR file:
```
Na6Mg2C4SO16
1.0
0.000 6.906 6.906
6.906 0.000 6.906
6.906 6.906 0.000
Na Mg C S O
12 4 8 2 32
Cartesian
5.180 5.180 1.271
5.180 1.271 5.180
9.089 5.180 5.180
8.633 8.633 4.724
8.633 4.724 8.633
12.542 8.633 8.633
1.271 5.180 5.180
5.180 9.089 5.180
5.180 5.180 9.089
4.724 8.633 8.633
8.633 12.542 8.633
8.633 8.633 12.542
6.906 3.453 3.453
3.453 6.906 3.453
3.453 3.453 6.906
6.906 6.906 6.906
3.890 3.890 3.890
6.469 6.469 3.890
6.469 3.890 6.469
9.923 7.343 7.343
3.890 6.469 6.469
7.343 9.923 7.343
7.343 7.343 9.923
9.923 9.923 9.923
1.727 1.727 1.727
12.086 12.086 12.086
0.871 0.871 0.871
2.583 2.583 0.871
2.583 0.871 2.583
6.668 5.484 3.082
4.876 3.082 3.692
7.278 3.692 5.484
3.692 4.876 3.082
7.278 6.668 4.876
5.484 3.082 6.668
0.871 2.583 2.583
10.121 8.329 6.535
8.937 6.535 7.145
10.731 7.145 8.329
5.484 7.278 3.692
3.082 3.692 4.876
6.668 4.876 7.278
7.145 8.937 6.535
10.731 10.121 8.937
8.329 6.535 10.121
3.082 6.668 5.484
4.876 7.278 6.668
3.692 5.484 7.278
12.942 11.230 11.230
8.329 10.731 7.145
6.535 7.145 8.937
10.121 8.937 10.731
6.535 10.121 8.329
8.937 10.731 10.121
7.145 8.329 10.731
11.230 12.942 11.230
11.230 11.230 12.942
12.942 12.942 12.942
```

A relaxed Na6Mg2C4SO16 crystal, computed with meta-GGA r2SCAN.

Properties
- ΔE_f (eV/atom) = -1.998
- offset from the most stable computed form (meV/atom) = 29.0
- magnetic moment (μB per formula unit) = 0.00

POSCAR file:
```
Na6Mg2C4SO16
1.0
0.000 6.997 6.997
6.997 0.000 6.997
6.997 6.997 0.000
Na Mg C S O
12 4 8 2 32
Cartesian
5.248 5.248 1.399
5.248 1.399 5.248
9.097 5.248 5.248
8.747 8.747 4.897
8.747 4.897 8.747
12.596 8.747 8.747
1.399 5.248 5.248
5.248 9.097 5.248
5.248 5.248 9.097
4.897 8.747 8.747
8.747 12.596 8.747
8.747 8.747 12.596
6.997 3.499 3.499
3.499 6.997 3.499
3.499 3.499 6.997
6.997 6.997 6.997
3.930 3.930 3.930
6.566 6.566 3.930
6.566 3.930 6.566
10.064 7.429 7.429
3.930 6.566 6.566
7.429 10.064 7.429
7.429 7.429 10.064
10.064 10.064 10.064
1.749 1.749 1.749
12.245 12.245 12.245
0.891 0.891 0.891
2.608 2.608 0.891
2.608 0.891 2.608
4.969 3.397 3.397
7.099 5.527 3.397
7.099 3.397 5.527
0.891 2.608 2.608
9.025 6.896 6.896
10.597 8.468 6.896
10.597 6.896 8.468
3.397 4.969 3.397
5.527 7.099 3.397
3.397 3.397 4.969
7.099 7.099 4.969
5.527 3.397 7.099
7.099 4.969 7.099
6.896 9.025 6.896
8.468 10.597 6.896
6.896 6.896 9.025
10.597 10.597 9.025
8.468 6.896 10.597
10.597 9.025 10.597
3.397 7.099 5.527
3.397 5.527 7.099
4.969 7.099 7.099
13.104 11.387 11.387
6.896 10.597 8.468
6.896 8.468 10.597
9.025 10.597 10.597
11.387 13.104 11.387
11.387 11.387 13.104
13.104 13.104 13.104
```

A relaxed Mg14SnCO16 crystal, computed with meta-GGA r2SCAN.

Properties
- ΔE_f (eV/atom) = -2.437
- magnetic moment (μB per formula unit) = 0.00

POSCAR file:
```
Mg14SnCO16
1.0
8.554 0.000 0.000
0.000 8.554 0.000
0.000 0.000 4.278
Mg Sn C O
14 1 1 16
Cartesian
0.000 2.083 0.000
0.000 4.277 2.139
0.000 6.471 0.000
2.033 4.277 0.000
2.063 2.063 2.139
2.063 6.491 2.139
2.083 0.000 0.000
4.277 0.000 2.139
4.277 2.033 0.000
4.277 6.521 0.000
6.471 0.000 0.000
6.491 2.063 2.139
6.491 6.491 2.139
6.521 4.277 0.000
4.277 4.277 2.139
0.000 0.000 2.139
0.000 0.000 0.000
0.000 2.165 2.139
0.000 4.277 0.000
0.000 6.388 2.139
1.983 4.277 2.139
2.134 2.134 0.000
2.134 6.420 0.000
2.165 0.000 2.139
4.277 0.000 0.000
4.277 1.983 2.139
4.277 4.277 0.000
4.277 6.571 2.139
6.388 0.000 2.139
6.420 2.134 0.000
6.420 6.420 0.000
6.571 4.277 2.139
```

A relaxed Mn23C6 crystal, computed with meta-GGA r2SCAN.

Properties
- ΔE_f (eV/atom) = -0.023
- magnetic moment (μB per formula unit) = 23.18

POSCAR file:
```
Mn23C6
1.0
0.000 5.248 5.248
5.248 0.000 5.248
5.248 5.248 0.000
Mn C
23 6
Cartesian
0.000 0.000 0.000
1.751 1.751 0.000
3.497 3.497 0.000
1.751 0.000 1.751
5.248 3.497 1.751
3.497 0.000 3.497
5.248 1.751 3.497
6.485 4.011 4.011
2.624 2.624 2.624
0.000 1.751 1.751
3.497 5.248 1.751
3.497 1.751 5.248
4.011 4.011 4.011
6.485 6.485 4.011
6.485 4.011 6.485
4.011 6.485 4.011
4.011 4.011 6.485
6.485 6.485 6.485
0.000 3.497 3.497
1.751 5.248 3.497
1.751 3.497 5.248
7.872 7.872 7.872
4.011 6.485 6.485
5.248 5.248 2.889
5.248 2.889 5.248
7.607 5.248 5.248
2.889 5.248 5.248
5.248 7.607 5.248
5.248 5.248 7.607
```

A relaxed NaMnPCO7 crystal, computed with meta-GGA r2SCAN.

Properties
- ΔE_f (eV/atom) = -2.016
- magnetic moment (μB per formula unit) = 3.00

POSCAR file:
```
NaMnPCO7
1.0
4.990 0.000 0.000
0.000 6.061 0.000
-0.344 0.000 18.525
Na Mn P C O
4 4 4 4 28
Cartesian
0.972 0.245 6.708
0.799 2.785 15.971
3.847 3.276 2.554
3.675 5.816 11.817
1.102 1.464 1.411
0.930 1.567 10.673
3.716 4.494 7.852
3.544 4.597 17.114
1.415 4.486 0.582
1.243 4.605 9.844
3.404 1.456 8.681
3.231 1.575 17.943
1.587 1.266 3.697
1.414 1.764 12.959
3.232 4.296 5.566
3.060 4.795 14.828
0.384 1.469 3.174
0.212 1.562 12.436
0.268 4.173 17.847
0.440 4.919 8.585
0.649 3.403 10.573
0.821 5.688 1.310
1.328 3.343 1.616
1.156 5.749 10.879
1.844 1.127 4.878
1.672 1.903 14.140
1.747 1.418 18.306
1.919 1.612 9.043
2.347 4.262 6.564
2.174 4.829 15.826
2.472 1.232 2.699
2.300 1.799 11.961
2.727 4.449 9.482
2.899 4.642 0.219
2.974 4.158 4.385
2.802 4.934 13.647
3.490 0.312 7.646
3.318 2.718 16.909
3.825 0.373 17.215
3.998 2.658 7.952
4.206 1.142 9.940
4.378 1.888 0.678
4.434 4.499 6.089
4.262 4.592 15.351
```

A relaxed Na6Mn2C4SO16 crystal, computed with meta-GGA r2SCAN.

Properties
- ΔE_f (eV/atom) = -1.874
- magnetic moment (μB per formula unit) = 10.00

POSCAR file:
```
Na6Mn2C4SO16
1.0
0.000 6.965 6.965
6.965 0.000 6.965
6.965 6.965 0.000
Na Mn C S O
12 4 8 2 32
Cartesian
5.224 5.224 1.250
5.224 1.250 5.224
9.197 5.224 5.224
8.706 8.706 4.733
8.706 4.733 8.706
12.680 8.706 8.706
1.250 5.224 5.224
5.224 9.197 5.224
5.224 5.224 9.197
4.733 8.706 8.706
8.706 12.680 8.706
8.706 8.706 12.680
6.965 3.482 3.482
3.482 6.965 3.482
3.482 3.482 6.965
6.965 6.965 6.965
3.884 3.884 3.884
6.564 6.564 3.884
6.564 3.884 6.564
10.046 7.366 7.366
3.884 6.564 6.564
7.366 10.046 7.366
7.366 7.366 10.046
10.046 10.046 10.046
1.741 1.741 1.741
12.189 12.189 12.189
0.885 0.885 0.885
2.597 2.597 0.885
2.597 0.885 2.597
6.709 5.593 3.044
4.854 3.044 3.738
7.404 3.738 5.593
3.738 4.854 3.044
7.404 6.709 4.854
5.593 3.044 6.709
0.885 2.597 2.597
10.192 8.337 6.526
9.076 6.526 7.221
10.886 7.221 8.337
5.593 7.404 3.738
3.044 3.738 4.854
6.709 4.854 7.404
7.221 9.076 6.526
10.886 10.192 9.076
8.337 6.526 10.192
3.044 6.709 5.593
4.854 7.404 6.709
3.738 5.593 7.404
13.045 11.333 11.333
8.337 10.886 7.221
6.526 7.221 9.076
10.192 9.076 10.886
6.526 10.192 8.337
9.076 10.886 10.192
7.221 8.337 10.886
11.333 13.045 11.333
11.333 11.333 13.045
13.045 13.045 13.045
```

A relaxed Nd12Mn5C15 crystal, computed with meta-GGA r2SCAN.

Properties
- ΔE_f (eV/atom) = -0.343
- magnetic moment (μB per formula unit) = 2.48

POSCAR file:
```
Nd12Mn5C15
1.0
10.769 0.000 0.000
-5.385 9.326 0.000
0.000 0.000 5.331
Nd Mn C
12 5 15
Cartesian
-1.115 1.931 0.000
-3.105 5.377 0.000
-0.455 4.270 2.665
2.230 0.000 0.000
-1.459 7.586 2.665
2.280 3.949 0.000
3.925 1.740 2.665
1.915 6.797 2.665
6.209 0.000 0.000
4.929 5.057 2.665
4.270 7.395 0.000
7.299 2.529 2.665
-4.563 7.903 2.665
0.822 1.424 2.665
0.000 6.218 0.000
5.385 3.109 0.000
9.125 0.000 2.665
-1.073 1.858 2.665
-2.977 5.156 2.665
-3.646 6.315 2.665
-0.477 4.512 0.000
2.146 0.000 2.665
-1.238 7.483 0.000
1.739 3.011 2.665
2.408 4.170 2.665
4.146 1.843 0.000
1.715 6.657 0.000
5.954 0.000 2.665
7.292 0.000 2.665
4.908 4.814 0.000
4.312 7.468 2.665
7.100 2.669 0.000
```